1.
GGA+U RbNbWO6, relaxed; formation energy from the elements = -2.6130 eV per atom; magnetization = 0.000 μB/f.u.; theoretical density = 5.20 Mg/m³
1.0
-3.706 3.740 5.280
3.706 -3.740 5.280
3.706 3.740 -5.280
O W Rb Nb
12 2 2 2
Direct
0.941 0.191 0.750
0.940 0.563 0.758
0.305 0.563 0.123
0.695 0.818 0.258
0.060 0.818 0.623
0.305 0.182 0.742
0.695 0.437 0.877
0.314 0.564 0.750
0.686 0.436 0.250
0.940 0.182 0.377
0.060 0.437 0.242
0.059 0.809 0.250
0.000 0.000 0.500
0.000 0.500 0.000
0.624 0.874 0.750
0.376 0.126 0.250
0.500 0.500 0.000
0.000 0.500 0.500

=====

2.
GGA+U SrNbVSnO6, relaxed; formation energy from the elements = -2.6309 eV per atom; magnetization = 2.000 μB/f.u.; theoretical density = 5.70 Mg/m³
1.0
-0.504 4.625 3.269
-3.501 -0.053 4.480
2.129 0.001 5.272
O Sn V Nb Sr
6 1 1 1 1
Direct
0.750 0.250 0.250
0.750 0.750 0.250
0.250 0.250 0.750
0.250 0.750 0.250
0.250 0.750 0.750
0.750 0.250 0.750
0.750 0.750 0.750
0.500 0.500 0.500
0.000 0.000 0.000
0.250 0.250 0.250

=====

3.
GGA+U TaNb3V4O20, relaxed; formation energy from the elements = -2.7589 eV per atom; magnetization = 0.001 μB/f.u.; theoretical density = 3.38 Mg/m³
1.0
5.657 0.000 0.000
0.000 7.070 0.000
0.000 0.015 12.074
O Ta V Nb
20 1 4 3
Direct
0.500 0.525 0.202
0.750 0.160 0.875
0.250 0.340 0.375
0.251 0.000 0.500
0.250 0.160 0.875
0.000 0.476 0.796
0.750 0.840 0.125
0.749 0.662 0.624
0.750 0.340 0.375
0.250 0.840 0.125
0.000 0.324 0.578
0.000 0.025 0.297
0.750 0.500 0.000
0.749 0.000 0.500
0.251 0.662 0.624
0.500 0.823 0.922
0.500 0.975 0.702
0.500 0.678 0.423
0.250 0.500 0.000
0.000 0.178 0.078
0.500 0.839 0.558
0.500 0.468 0.345
0.000 0.968 0.156
0.500 0.032 0.843
0.000 0.533 0.656
0.500 0.658 0.057
0.000 0.342 0.943
0.000 0.154 0.444

=====

4.
GGA+U Ti3Nb2V3O16, relaxed; formation energy from the elements = -2.9466 eV per atom; magnetization = 5.000 μB/f.u.; theoretical density = 4.15 Mg/m³
1.0
-5.184 -1.896 2.333
5.078 -0.744 3.122
-1.256 8.437 3.995
Nb O V Ti
2 16 3 3
Direct
0.341 0.670 0.501
0.673 0.340 0.001
0.318 0.659 0.895
0.001 0.015 0.198
0.521 0.043 0.166
0.949 0.469 0.164
0.829 0.174 0.900
0.175 0.831 0.399
0.343 0.171 0.901
0.466 0.951 0.663
0.515 0.470 0.165
0.006 0.004 0.697
0.174 0.346 0.401
0.663 0.313 0.394
0.831 0.658 0.902
0.467 0.514 0.664
0.042 0.522 0.666
0.662 0.828 0.402
0.831 0.174 0.286
0.838 0.665 0.291
0.662 0.832 0.791
0.176 0.344 0.781
0.345 0.175 0.278
0.175 0.831 0.781

=====

5.
GGA+U NbTlWO6, relaxed; formation energy from the elements = -2.3768 eV per atom; magnetization = 0.000 μB/f.u.; theoretical density = 6.57 Mg/m³
1.0
1.445 -1.947 7.042
-6.988 -2.457 0.777
4.308 -2.567 -5.506
Nb O W Tl
2 12 2 2
Direct
0.500 0.500 0.000
0.000 0.500 0.500
0.694 0.818 0.258
0.306 0.182 0.742
0.940 0.564 0.758
0.060 0.818 0.624
0.060 0.436 0.242
0.059 0.809 0.250
0.941 0.191 0.750
0.940 0.182 0.376
0.315 0.565 0.750
0.694 0.436 0.876
0.306 0.564 0.124
0.685 0.435 0.250
0.000 0.500 0.000
0.000 0.000 0.500
0.376 0.126 0.250
0.624 0.874 0.750

=====

6.
GGA+U NbVO4, relaxed; formation energy from the elements = -2.8095 eV per atom; magnetization = 2.000 μB/f.u.; theoretical density = 4.47 Mg/m³
1.0
-0.163 -0.228 5.696
2.647 -4.117 2.794
1.056 3.759 -4.096
V O Nb
1 4 1
Direct
0.738 0.242 0.482
0.953 0.464 0.489
0.536 0.032 0.495
0.199 0.207 0.998
0.803 0.792 0.004
0.021 0.012 0.032

=====

7.
GGA+U Nb9V2O25, relaxed; formation energy from the elements = -2.7583 eV per atom; magnetization = 2.742 μB/f.u.; theoretical density = 4.31 Mg/m³
1.0
-3.772 -9.456 5.442
6.336 9.351 -2.384
-8.381 6.438 4.646
O Nb V
25 9 2
Direct
0.840 0.649 0.488
0.556 0.917 0.473
0.719 0.984 0.703
0.051 0.118 0.168
0.500 0.500 0.000
0.160 0.351 0.512
0.649 0.160 0.809
0.213 0.179 0.392
0.882 0.051 0.933
0.821 0.213 0.034
0.984 0.281 0.265
0.750 0.389 0.139
0.083 0.556 0.639
0.389 0.250 0.639
0.444 0.083 0.527
0.281 0.016 0.297
0.179 0.787 0.966
0.787 0.821 0.608
0.250 0.611 0.861
0.949 0.882 0.832
0.917 0.444 0.361
0.351 0.840 0.191
0.016 0.719 0.735
0.118 0.949 0.067
0.611 0.750 0.361
0.682 0.874 0.556
0.000 0.000 0.000
0.777 0.098 0.875
0.874 0.318 0.192
0.318 0.126 0.444
0.126 0.682 0.808
0.902 0.777 0.679
0.223 0.902 0.125
0.098 0.223 0.321
0.750 0.250 0.500
0.250 0.750 0.500

=====

8.
GGA+U NbVO4, relaxed; formation energy from the elements = -2.7491 eV per atom; magnetization = 2.000 μB/f.u.; theoretical density = 5.40 Mg/m³
1.0
-2.480 2.480 5.199
2.480 -2.480 5.199
2.480 2.480 -5.199
O V Nb
8 2 2
Direct
0.175 0.676 0.029
0.895 0.425 0.998
0.855 0.825 0.502
0.324 0.353 0.498
0.426 0.897 0.002
0.575 0.574 0.471
0.647 0.145 0.971
0.103 0.105 0.529
0.750 0.250 0.500
0.000 0.000 0.000
0.500 0.500 0.000
0.250 0.750 0.500